# K2H3CO4F

A geometry-optimized K2H3CO4F structure (PBE, the Materials Project database).

Computed properties:
V (Å³/atom): 13.34
Energy with MP2020 corrections (eV per cell): -128.8
Calculated formation energy (meV per atom): -1913

abc: 5.425 7.388 7.563
angles: 90.00 104.50 90.00
Sites, in units of the cell vectors:
K 0.213 0.003 0.267
K 0.213 0.497 0.267
K 0.787 0.503 0.733
K 0.787 0.997 0.733
H 0.281 0.250 0.856
H 0.286 0.250 0.647
H 0.311 0.750 0.615
H 0.689 0.250 0.385
H 0.714 0.750 0.353
H 0.719 0.750 0.144
C 0.310 0.750 0.877
C 0.690 0.250 0.123
O 0.166 0.750 0.985
O 0.169 0.250 0.728
O 0.183 0.750 0.694
O 0.448 0.250 0.084
O 0.552 0.750 0.916
O 0.817 0.250 0.306
O 0.831 0.750 0.272
O 0.834 0.250 0.015
F 0.495 0.750 0.490
F 0.505 0.250 0.510